The following is a PBE+U calculation of a geometry-optimized Co3O4F2 structure, from the Materials Project.

As for the total energy: -96.920 eV/cell.

Cell: 4.5725 5.4130 7.4884 Å, 84.46 85.33 84.82°
Space group P-1 (No. 2)
Symmetry-distinct sites (fractional):
Co: 0.0000 0.0000 0.0000
Co: 0.0092 0.6756 0.3342
Co: 0.4584 0.1399 0.3181
Co: 0.5000 0.5000 0.0000
O: 0.1771 0.9578 0.2193
O: 0.3038 0.1253 0.5648
O: 0.3046 0.4640 0.2290
O: 0.3077 0.8012 0.8985
F: 0.1910 0.6178 0.5727
F: 0.1920 0.2819 0.9124

The following is a PBE+U calculation of a geometry-optimized Co6O5F7 structure, from the Materials Project.

As for the total energy: -190.405 eV/cell.

Cell: 6.3654 6.8906 9.0644 Å, 90.00 90.21 90.00°
Space group C2 (No. 5)
Symmetry-distinct sites (fractional):
Co: 0.0000 0.0000 0.0000
Co: 0.0000 0.4707 0.5000
Co: 0.0021 0.9686 0.6570
Co: 0.0369 0.4624 0.8401
O: 0.0000 0.2889 0.0000
O: 0.1789 0.9756 0.1795
O: 0.1922 0.9677 0.4989
F: 0.0000 0.6705 0.0000
F: 0.0052 0.6623 0.6683
F: 0.0079 0.2753 0.6678
F: 0.2124 0.9738 0.8176

The following is a PBE+U calculation of a geometry-optimized Co3O4F2 structure, from the Materials Project.

As for the total energy: -97.818 eV/cell.

Cell: 5.4401 5.4536 6.8192 Å, 74.84 74.57 77.30°
Space group P-1 (No. 2)
Symmetry-distinct sites (fractional):
Co: 0.0000 0.0000 0.0000
Co: 0.0000 0.0000 0.5000
Co: 0.2969 0.3735 0.1678
Co: 0.3220 0.3322 0.6723
O: 0.0186 0.6609 0.1632
O: 0.0931 0.1137 0.2018
O: 0.2184 0.2418 0.4636
O: 0.4306 0.4342 0.8731
F: 0.3207 0.7002 0.4898
F: 0.3705 0.9563 0.8347

The following is a PBE+U calculation of a geometry-optimized Co3OF5 structure, from the Materials Project.

As for the total energy: -92.861 eV/cell.

Cell: 5.6604 5.6790 7.4171 Å, 72.92 72.67 71.97°
Space group P1 (No. 1)
Symmetry-distinct sites (fractional):
Co: 0.0000 0.0000 0.0000
Co: 0.0116 0.9938 0.5119
Co: 0.3165 0.3052 0.6635
Co: 0.3293 0.3225 0.1863
Co: 0.6684 0.6545 0.3410
Co: 0.6939 0.6177 0.8371
O: 0.2361 0.2226 0.4673
O: 0.9674 0.3444 0.8364
F: 0.0298 0.6333 0.1669
F: 0.1054 0.0875 0.2079
F: 0.3035 0.6777 0.5099
F: 0.3782 0.9359 0.8346
F: 0.4320 0.4111 0.8765
F: 0.5718 0.5500 0.1338
F: 0.6389 0.0163 0.1703
F: 0.6951 0.2891 0.5113
F: 0.7687 0.7558 0.5440
F: 0.8964 0.8767 0.8065

The following is a PBE+U calculation of a geometry-optimized Co6O5F7 structure, from the Materials Project.

As for the total energy: -95.072 eV/cell.

Cell: 4.6113 5.5573 7.6976 Å, 92.47 92.27 90.12°
Space group P1 (No. 1)
Symmetry-distinct sites (fractional):
Co: 0.0000 0.0000 0.0000
Co: 0.0097 0.3403 0.3325
Co: 0.0743 0.6618 0.6843
Co: 0.5184 0.1930 0.6363
Co: 0.5466 0.5028 0.0059
Co: 0.5669 0.8576 0.3177
O: 0.2182 0.3699 0.5563
O: 0.2388 0.7010 0.8965
O: 0.7223 0.7871 0.0973
O: 0.7320 0.1486 0.4236
O: 0.8244 0.3065 0.1046
F: 0.2301 0.0367 0.2265
F: 0.3151 0.5382 0.2413
F: 0.3401 0.8755 0.5560
F: 0.3413 0.2119 0.8934
F: 0.7304 0.4703 0.7585
F: 0.8254 0.9783 0.7524
F: 0.8343 0.6535 0.4504

The following is a PBE+U calculation of a geometry-optimized Co3OF5 structure, from the Materials Project.

As for the total energy: -93.215 eV/cell.

Cell: 6.6770 3.1272 10.5401 Å, 90.00 108.41 90.00°
Space group Pm (No. 6)
Symmetry-distinct sites (fractional):
Co: 0.0000 0.0000 0.0000
Co: 0.1491 0.5000 0.3398
Co: 0.3023 0.0000 0.6434
Co: 0.4539 0.5000 0.9869
Co: 0.6424 0.0000 0.3244
Co: 0.8104 0.5000 0.6613
O: 0.2431 0.5000 0.5262
O: 0.2715 0.0000 0.9899
F: 0.0083 0.0000 0.6656
F: 0.0423 0.5000 0.1334
F: 0.3385 0.0000 0.3253
F: 0.3712 0.5000 0.7768
F: 0.5781 0.5000 0.1920
F: 0.6165 0.0000 0.6624
F: 0.6808 0.0000 0.9923
F: 0.7082 0.5000 0.4569
F: 0.9094 0.5000 0.8688
F: 0.9479 0.0000 0.3282

The following is a PBE+U calculation of a geometry-optimized Co2O3F structure, from the Materials Project.

As for the total energy: -264.053 eV/cell.

Cell: 6.4684 6.0669 12.0672 Å, 90.00 90.22 90.00°
Space group C2/m (No. 12)
Symmetry-distinct sites (fractional):
Co: 0.0000 0.0000 0.0000
Co: 0.0000 0.0000 0.5000
Co: 0.0019 0.0000 0.2492
Co: 0.0288 0.5000 0.8789
Co: 0.0337 0.5000 0.6281
O: 0.0000 0.2925 0.5000
O: 0.0000 0.3053 0.0000
O: 0.0187 0.3002 0.7578
O: 0.1801 0.0000 0.3748
O: 0.1923 0.0000 0.1205
F: 0.2189 0.0000 0.6290
F: 0.2247 0.0000 0.8749

The following is a PBE+U calculation of a geometry-optimized Co6O5F7 structure, from the Materials Project.

As for the total energy: -189.928 eV/cell.

Cell: 8.9469 7.0280 6.2437 Å, 90.00 90.00 90.00°
Space group Amm2 (No. 38)
Symmetry-distinct sites (fractional):
Co: 0.0000 0.0000 0.0000
Co: 0.1668 0.0000 0.5014
Co: 0.3281 0.0000 0.0024
Co: 0.5000 0.0000 0.5286
O: 0.1641 0.0000 0.1951
O: 0.1639 0.0000 0.8036
O: 0.5000 0.0000 0.8266
F: 0.0000 0.1932 0.5004
F: 0.3313 0.1963 0.5064
F: 0.5000 0.0000 0.2074

E above lowest polymorph across the listed records, respectively: 51, 0, 1, 31, 7, 11, 10, 13 meV/atom.